Entry 1:
Computed, not measured: Ho5Ir2 after structural relaxation at the GGA-PBE level of DFT.

Computed properties:
Size of the total moment, Bohr magnetons per cell: 0.02

The structure in extended XYZ format:
```
14
Lattice="7.814 -3.243 0.000 7.814 3.243 0.000 -0.851 0.000 7.120" Properties=species:S:1:pos:R:3 pbc="T T T"
Ho 7.176 2.771 5.340
Ho 3.186 0.436 2.269
Ho 2.761 -0.436 5.828
Ho 6.324 0.786 0.582
Ho 8.878 0.786 2.978
Ho 5.899 -0.786 4.142
Ho 8.453 -0.786 6.538
Ho 12.016 0.436 1.291
Ho 11.591 -0.436 4.851
Ho 7.601 -2.771 1.780
Ir 5.740 1.831 3.037
Ir 9.462 1.831 0.522
Ir 5.315 -1.831 6.597
Ir 9.037 -1.831 4.082
```



Entry 2:
Computed, not measured: LiHo2Ir after structural relaxation at the GGA-PBE level of DFT.

The structure in extended XYZ format:
```
4
Lattice="0.000 3.461 3.461 3.461 0.000 3.461 3.461 3.461 0.000" Properties=species:S:1:pos:R:3 pbc="T T T"
Li 0.000 0.000 0.000
Ho 1.730 1.730 1.730
Ho 5.191 5.191 5.191
Ir 3.461 3.461 3.461
```



Short version: formation energy from the elements = -680 -601 meV per atom, in the order given.
Short version: calculated total energy = -6.478 -5.579 eV/atom, in the order given.